The following is a DFT calculation (PBE-GGA) of a geometry-optimized Na30Ta16Zn8Si27S9O144 structure.

Output
The formation energy is -2.73 eV per atom.

The structure in CIF format:
```
data_Na30Ta16Zn8Si27S9O144
_chemical_formula_sum 'Na30 Ta16 Zn8 Si27 S9 O144'
_cell_length_a 9.034
_cell_length_b 15.607
_cell_length_c 22.535
_cell_angle_alpha 90.18
_cell_angle_beta 90.08
_cell_angle_gamma 90.14
_space_group_name_H-M_alt 'P 1'
_space_group_IT_number 1
_space_group_name_Hall 'P 1'
loop_
_atom_site_label
_atom_site_type_symbol
_atom_site_fract_x
_atom_site_fract_y
_atom_site_fract_z
Na1 Na 0.000 0.000 0.000
Na2 Na 0.000 0.328 0.329
Na3 Na 0.022 0.700 0.334
Na4 Na 0.125 0.199 0.832
Na5 Na 0.142 0.527 0.156
Na6 Na 0.148 0.828 0.827
Na7 Na 0.154 0.170 0.155
Na8 Na 0.196 0.523 0.829
Na9 Na 0.318 0.346 0.920
Na10 Na 0.319 0.687 0.249
Na11 Na 0.324 0.017 0.581
Na12 Na 0.324 0.351 0.418
Na13 Na 0.329 0.688 0.750
Na14 Na 0.337 0.015 0.078
Na15 Na 0.452 0.524 0.330
Na16 Na 0.501 0.826 0.329
Na17 Na 0.506 0.528 0.657
Na18 Na 0.519 0.200 0.327
Na19 Na 0.625 0.701 0.833
Na20 Na 0.647 0.328 0.829
Na21 Na 0.656 0.672 0.155
Na22 Na 0.695 0.024 0.827
Na23 Na 0.811 0.841 0.917
Na24 Na 0.815 0.183 0.247
Na25 Na 0.818 0.513 0.074
Na26 Na 0.825 0.183 0.750
Na27 Na 0.830 0.514 0.576
Na28 Na 0.831 0.845 0.421
Na29 Na 0.951 0.023 0.328
Na30 Na 0.991 0.673 0.656
Ta1 Ta 0.313 0.686 0.599
Ta2 Ta 0.321 0.021 0.928
Ta3 Ta 0.323 0.017 0.429
Ta4 Ta 0.323 0.349 0.762
Ta5 Ta 0.324 0.016 0.221
Ta6 Ta 0.326 0.349 0.262
Ta7 Ta 0.328 0.017 0.720
Ta8 Ta 0.334 0.684 0.098
Ta9 Ta 0.819 0.521 0.930
Ta10 Ta 0.820 0.515 0.223
Ta11 Ta 0.821 0.851 0.761
Ta12 Ta 0.825 0.850 0.261
Ta13 Ta 0.826 0.515 0.722
Ta14 Ta 0.827 0.182 0.602
Ta15 Ta 0.829 0.182 0.099
Ta16 Ta 0.830 0.521 0.431
Zn1 Zn 0.313 0.684 0.390
Zn2 Zn 0.316 0.343 0.063
Zn3 Zn 0.323 0.349 0.570
Zn4 Zn 0.336 0.684 0.889
Zn5 Zn 0.812 0.841 0.064
Zn6 Zn 0.824 0.184 0.388
Zn7 Zn 0.832 0.843 0.564
Zn8 Zn 0.835 0.187 0.889
Si1 Si 0.027 0.689 0.490
Si2 Si 0.033 0.352 0.158
Si3 Si 0.034 0.015 0.825
Si4 Si 0.112 0.855 0.658
Si5 Si 0.115 0.515 0.326
Si6 Si 0.120 0.188 0.990
Si7 Si 0.175 0.493 0.657
Si8 Si 0.177 0.872 0.326
Si9 Si 0.180 0.162 0.326
Si10 Si 0.185 0.205 0.656
Si11 Si 0.469 0.874 0.827
Si12 Si 0.471 0.163 0.826
Si13 Si 0.471 0.490 0.156
Si14 Si 0.472 0.205 0.158
Si15 Si 0.533 0.515 0.825
Si16 Si 0.535 0.854 0.158
Si17 Si 0.612 0.350 0.657
Si18 Si 0.613 0.016 0.327
Si19 Si 0.622 0.688 0.989
Si20 Si 0.676 0.705 0.658
Si21 Si 0.677 0.373 0.329
Si22 Si 0.678 0.663 0.327
Si23 Si 0.678 0.990 0.655
Si24 Si 0.968 0.991 0.155
Si25 Si 0.969 0.663 0.826
Si26 Si 0.971 0.373 0.828
Si27 Si 0.973 0.705 0.159
S1 S 0.177 0.538 0.992
S2 S 0.180 0.829 0.991
S3 S 0.467 0.830 0.491
S4 S 0.470 0.536 0.492
S5 S 0.534 0.183 0.491
S6 S 0.676 0.039 0.992
S7 S 0.680 0.329 0.992
S8 S 0.969 0.328 0.491
S9 S 0.970 0.041 0.491
O1 O 0.000 0.515 0.668
O2 O 0.001 0.498 0.382
O3 O 0.003 0.170 0.049
O4 O 0.003 0.173 0.331
O5 O 0.005 0.528 0.269
O6 O 0.009 0.532 0.990
O7 O 0.009 0.831 0.718
O8 O 0.022 0.845 0.997
O9 O 0.023 0.190 0.931
O10 O 0.023 0.871 0.599
O11 O 0.124 0.694 0.430
O12 O 0.128 0.340 0.497
O13 O 0.131 0.380 0.103
O14 O 0.138 0.331 0.219
O15 O 0.141 0.035 0.488
O16 O 0.142 0.998 0.885
O17 O 0.143 0.673 0.549
O18 O 0.145 0.013 0.168
O19 O 0.146 0.672 0.832
O20 O 0.150 0.030 0.771
O21 O 0.152 0.367 0.820
O22 O 0.153 0.689 0.151
O23 O 0.196 0.440 0.598
O24 O 0.207 0.594 0.047
O25 O 0.208 0.266 0.717
O26 O 0.208 0.780 0.937
O27 O 0.208 0.937 0.384
O28 O 0.212 0.103 0.269
O29 O 0.212 0.426 0.321
O30 O 0.216 0.091 0.989
O31 O 0.217 0.764 0.652
O32 O 0.222 0.597 0.327
O33 O 0.228 0.269 0.996
O34 O 0.228 0.932 0.670
O35 O 0.231 0.581 0.938
O36 O 0.243 0.454 0.998
O37 O 0.244 0.783 0.045
O38 O 0.247 0.109 0.670
O39 O 0.251 0.924 0.271
O40 O 0.254 0.780 0.328
O41 O 0.256 0.240 0.598
O42 O 0.256 0.591 0.651
O43 O 0.258 0.451 0.717
O44 O 0.259 0.916 0.990
O45 O 0.263 0.114 0.384
O46 O 0.265 0.256 0.322
O47 O 0.377 0.238 0.104
O48 O 0.385 0.117 0.884
O49 O 0.385 0.256 0.820
O50 O 0.387 0.917 0.489
O51 O 0.390 0.451 0.217
O52 O 0.392 0.589 0.151
O53 O 0.394 0.780 0.828
O54 O 0.396 0.924 0.771
O55 O 0.399 0.110 0.172
O56 O 0.400 0.785 0.544
O57 O 0.406 0.450 0.497
O58 O 0.416 0.578 0.437
O59 O 0.420 0.932 0.170
O60 O 0.427 0.597 0.827
O61 O 0.431 0.764 0.152
O62 O 0.436 0.257 0.497
O63 O 0.436 0.426 0.820
O64 O 0.437 0.100 0.771
O65 O 0.438 0.782 0.436
O66 O 0.439 0.938 0.885
O67 O 0.440 0.100 0.488
O68 O 0.441 0.591 0.546
O69 O 0.442 0.265 0.219
O70 O 0.444 0.435 0.099
O71 O 0.495 0.367 0.321
O72 O 0.496 0.690 0.650
O73 O 0.500 0.031 0.271
O74 O 0.500 0.998 0.385
O75 O 0.502 0.673 0.332
O76 O 0.504 0.009 0.669
O77 O 0.505 0.673 0.049
O78 O 0.509 0.031 0.989
O79 O 0.509 0.334 0.718
O80 O 0.519 0.378 0.601
O81 O 0.523 0.342 0.999
O82 O 0.523 0.694 0.931
O83 O 0.620 0.191 0.436
O84 O 0.626 0.845 0.498
O85 O 0.626 0.873 0.100
O86 O 0.634 0.171 0.544
O87 O 0.638 0.831 0.218
O88 O 0.640 0.530 0.489
O89 O 0.642 0.528 0.769
O90 O 0.646 0.174 0.833
O91 O 0.646 0.514 0.168
O92 O 0.647 0.498 0.883
O93 O 0.652 0.195 0.150
O94 O 0.652 0.868 0.821
O95 O 0.702 0.934 0.598
O96 O 0.705 0.764 0.719
O97 O 0.706 0.437 0.386
O98 O 0.707 0.095 0.045
O99 O 0.708 0.280 0.937
O100 O 0.712 0.603 0.269
O101 O 0.712 0.928 0.320
O102 O 0.717 0.099 0.332
O103 O 0.719 0.594 0.988
O104 O 0.720 0.264 0.648
O105 O 0.722 0.432 0.670
O106 O 0.730 0.768 0.996
O107 O 0.733 0.079 0.937
O108 O 0.743 0.607 0.671
O109 O 0.746 0.955 0.998
O110 O 0.747 0.282 0.044
O111 O 0.749 0.279 0.331
O112 O 0.752 0.421 0.272
O113 O 0.755 0.089 0.648
O114 O 0.756 0.950 0.717
O115 O 0.761 0.415 0.989
O116 O 0.763 0.614 0.383
O117 O 0.763 0.756 0.321
O118 O 0.769 0.737 0.603
O119 O 0.881 0.738 0.104
O120 O 0.884 0.756 0.821
O121 O 0.885 0.614 0.883
O122 O 0.891 0.414 0.489
O123 O 0.893 0.948 0.216
O124 O 0.894 0.091 0.151
O125 O 0.894 0.280 0.827
O126 O 0.898 0.424 0.771
O127 O 0.902 0.283 0.544
O128 O 0.903 0.607 0.171
O129 O 0.908 0.954 0.497
O130 O 0.916 0.080 0.436
O131 O 0.918 0.769 0.496
O132 O 0.923 0.433 0.171
O133 O 0.925 0.096 0.828
O134 O 0.929 0.594 0.487
O135 O 0.932 0.263 0.151
O136 O 0.935 0.603 0.768
O137 O 0.937 0.279 0.436
O138 O 0.937 0.926 0.820
O139 O 0.939 0.097 0.544
O140 O 0.941 0.437 0.885
O141 O 0.942 0.764 0.220
O142 O 0.948 0.940 0.095
O143 O 0.995 0.869 0.321
O144 O 0.999 0.195 0.649
```